Material: DyFeO3
Method: DFT, r²SCAN
State: relaxed

Results
Energy relative to the elements in kJ/mol of formula units: -1350
Total magnetization in μB/atom: 1.000
Calculated total energy in eV/atom: -15.66

Lattice parameters (Å, degrees): 5.277 5.614 7.621 90.00 90.00 90.00
Atoms (fractional coordinates):
O (0.810, 0.807, 0.059)
O (0.190, 0.193, 0.559)
O (0.384, 0.958, 0.250)
Dy (0.481, 0.429, 0.750)
Dy (0.019, 0.929, 0.750)
O (0.690, 0.307, 0.441)
Fe (0.000, 0.500, 0.500)
O (0.310, 0.693, 0.559)
Dy (0.981, 0.071, 0.250)
O (0.810, 0.807, 0.441)
O (0.690, 0.307, 0.059)
Fe (0.500, 0.000, 0.000)
O (0.116, 0.458, 0.250)
Dy (0.519, 0.571, 0.250)
O (0.310, 0.693, 0.941)
O (0.616, 0.042, 0.750)
O (0.190, 0.193, 0.941)
O (0.884, 0.542, 0.750)
Fe (0.000, 0.500, 0.000)
Fe (0.500, 0.000, 0.500)



Material: Rb2NiO2
Method: DFT, r²SCAN
State: relaxed

Results
Energy relative to the elements in kJ/mol of formula units: -630
Total magnetization in μB/atom: 0.400
Calculated total energy in eV/atom: -11.66

Lattice parameters (Å, degrees): 4.155 4.155 7.178 106.82 106.82 90.00
Atoms (fractional coordinates):
Rb (0.348, 0.348, 0.696)
O (0.871, 0.871, 0.742)
O (0.129, 0.129, 0.258)
Ni (0.000, 0.000, 0.000)
Rb (0.652, 0.652, 0.304)



Material: CsSnCl3
Method: DFT, r²SCAN
State: relaxed

Results
Energy relative to the elements in kJ/mol of formula units: -761
Total magnetization in μB/atom: 0.000
Calculated total energy in eV/atom: -15.24

Lattice parameters (Å, degrees): 5.800 7.490 16.317 90.00 93.18 90.00
Atoms (fractional coordinates):
Cl (0.769, 0.187, 0.752)
Cl (0.731, 0.687, 0.748)
Sn (0.245, 0.969, 0.110)
Cs (0.252, 0.998, 0.653)
Sn (0.755, 0.031, 0.890)
Cl (0.810, 0.473, 0.374)
Cl (0.690, 0.973, 0.126)
Cl (0.231, 0.813, 0.248)
Sn (0.745, 0.531, 0.610)
Cl (0.762, 0.335, 0.956)
Cl (0.262, 0.165, 0.456)
Cl (0.738, 0.835, 0.544)
Cl (0.269, 0.313, 0.252)
Cl (0.238, 0.665, 0.044)
Cs (0.248, 0.498, 0.847)
Cs (0.752, 0.502, 0.153)
Sn (0.255, 0.469, 0.390)
Cl (0.190, 0.527, 0.626)
Cl (0.310, 0.027, 0.874)
Cs (0.748, 0.002, 0.347)



Material: UN
Method: DFT, r²SCAN
State: relaxed

Results
Energy relative to the elements in kJ/mol of formula units: -305
Total magnetization in μB/atom: 0.743
Calculated total energy in eV/atom: -46.12

Lattice parameters (Å, degrees): 3.449 3.449 3.449 60.00 60.00 60.00
Atoms (fractional coordinates):
N (0.000, 0.000, 0.000)
U (0.500, 0.500, 0.500)